(1)
Li9Mn2Co5O16: optimized geometry, GGA+U.

Summary:
Calculated density in Mg/m³: 4.2
E in eV/atom: -5.822
Total energy after the MP2020 corrections in eV/atom: -6.53
Energy relative to the elements in kJ/mol of atoms: -176.71
Distance to the lowest polymorph of the same formula in meV per atom: 33

Cell: 5.1322 5.8562 9.7031 Å, 89.63 79.67 89.79°
Closest atoms and distances in Å follow each position.
Space group P1 (No. 1)
Unique sites:
Li: 0.0000 0.0000 0.0000 x1  6 O 2.05-2.20
Li: 0.0014 0.4974 0.9968 x1  6 O 2.04-2.19
Li: 0.2504 0.2581 0.7508 x1  6 O 2.06-2.27
Li: 0.2522 0.7411 0.7518 x1  6 O 2.15-2.24
Li: 0.5022 0.5011 0.5046 x1  6 O 2.04-2.22
Li: 0.5043 0.0038 0.5034 x1  6 O 2.06-2.19
Li: 0.7496 0.7503 0.2527 x1  6 O 2.14-2.24
Li: 0.7514 0.4979 0.7505 x1  6 O 2.06-2.12
Li: 0.7543 0.2512 0.2505 x1  6 O 2.09-2.21
Mn: 0.0035 0.2553 0.5050 x1  6 O 1.90-2.00
Mn: 0.4978 0.2487 0.9969 x1  6 O 1.91-1.99
Co: 0.2516 0.5040 0.2496 x1  6 O 1.92-2.08
Co: 0.2528 0.9971 0.2520 x1  6 O 1.99-2.07
Co: 0.5167 0.7443 0.9900 x1  4 O 1.87-2.06
Co: 0.7515 0.0040 0.7510 x1  6 O 1.93-2.12
Co: 0.9945 0.7499 0.5110 x1  6 O 1.90-2.11
O: 0.1252 0.4906 0.6159 x1  1 Mn 1.93, 1 Co 2.00, 4 Li 2.04-2.16
O: 0.1258 0.0164 0.6168 x1  1 Mn 1.94, 2 Co 2.05-2.12, 2 Li 2.06-2.11
O: 0.1435 0.7396 0.1324 x1  3 Co 1.92-2.15, 1 Li 2.15
O: 0.1534 0.2465 0.1237 x1  1 Mn 1.96, 2 Co 2.04-2.07, 3 Li 2.12-2.19
O: 0.3495 0.2614 0.3746 x1  2 Co 1.98-2.07, 1 Mn 1.99, 3 Li 2.14-2.21
O: 0.3583 0.7542 0.3752 x1  3 Co 1.99-2.08, 3 Li 2.14-2.15
O: 0.3776 0.0088 0.8856 x1  1 Mn 1.95, 2 Co 2.04-2.12, 2 Li 2.05-2.13
O: 0.3785 0.4875 0.8865 x1  1 Mn 1.92, 1 Co 2.01, 4 Li 2.04-2.15
O: 0.6006 0.0087 0.1231 x1  2 Co 1.99-2.12, 1 Mn 1.99, 3 Li 2.13-2.18
O: 0.6144 0.4847 0.1161 x1  1 Mn 1.97, 2 Co 2.06-2.07, 2 Li 2.10-2.11
O: 0.6569 0.7706 0.6275 x1  2 Co 1.90-1.94, 2 Li 2.06-2.09
O: 0.6653 0.2404 0.6221 x1  1 Mn 1.90, 1 Co 1.96, 2 Li 2.06-2.07
O: 0.8371 0.2336 0.8780 x1  1 Mn 1.91, 1 Co 1.93, 2 Li 2.07
O: 0.8514 0.7629 0.8770 x1  2 Co 1.87-1.99, 1 Li 2.07
O: 0.8887 0.4932 0.3860 x1  1 Mn 1.96, 2 Co 2.07-2.08, 3 Li 2.11-2.18
O: 0.9027 0.0146 0.3792 x1  2 Co 1.99-2.11, 1 Mn 2.00, 3 Li 2.09-2.21

=====

(2)
Sr6La14Mn17Cu3O60: optimized geometry, GGA+U.

Summary:
Calculated density in Mg/m³: 6.2
E in eV/atom: -7.513
Total energy after the MP2020 corrections in eV/atom: -8.21
Energy relative to the elements in kJ/mol of atoms: -266.96

Cell: 5.5185 5.5192 45.6253 Å, 87.08 87.10 60.89°
Closest atoms and distances in Å follow each position.
Space group P1 (No. 1)
Unique sites:
Sr: 0.0000 0.0000 0.0000 x1  9 O 2.54-2.79
Sr: 0.0976 0.1002 0.7008 x1  8 O 2.52-2.79
Sr: 0.2967 0.3013 0.0998 x1  9 O 2.54-2.81
Sr: 0.3977 0.4014 0.8003 x1  9 O 2.54-2.82
Sr: 0.5964 0.5993 0.2003 x1  9 O 2.53-2.82
Sr: 0.6976 0.6984 0.9003 x1  9 O 2.54-2.79
La: 0.0485 0.0517 0.8503 x1  6 O 2.46-2.76
La: 0.1471 0.1499 0.5516 x1  3 O 2.41-2.46
La: 0.1974 0.1977 0.4007 x1  3 O 2.41-2.43
La: 0.2471 0.2480 0.2487 x1  4 O 2.42-2.71
La: 0.3489 0.3483 0.9502 x1  3 O 2.46-2.48
La: 0.4501 0.4507 0.6505 x1  4 O 2.43-2.69
La: 0.4983 0.5016 0.4999 x1  3 O 2.40-2.42
La: 0.5500 0.5490 0.3491 x1  4 O 2.40-2.68
La: 0.6466 0.6492 0.0499 x1  6 O 2.46-2.75
La: 0.7474 0.7499 0.7509 x1  5 O 2.46-2.75
La: 0.8002 0.7967 0.6005 x1  4 O 2.44-2.71
La: 0.8470 0.8502 0.4489 x1  3 O 2.40-2.43
La: 0.9023 0.8965 0.2969 x1  4 O 2.39-2.62
La: 0.9482 0.9512 0.1497 x1  6 O 2.46-2.75
Mn: 0.0226 0.0250 0.9250 x1  6 O 1.98-2.00
Mn: 0.0738 0.0742 0.7749 x1  6 O 1.98-2.01
Mn: 0.1197 0.1272 0.6252 x1  6 O 1.94-2.00
Mn: 0.1738 0.1734 0.4751 x1  6 O 1.94-2.01
Mn: 0.2234 0.2243 0.3249 x1  6 O 1.92-2.01
Mn: 0.2735 0.2730 0.1748 x1  6 O 1.96-2.01
Mn: 0.3241 0.3251 0.0251 x1  6 O 1.97-1.99
Mn: 0.3715 0.3754 0.8752 x1  6 O 1.97-1.99
Mn: 0.4226 0.4260 0.7248 x1  6 O 1.97-2.01
Mn: 0.6231 0.6246 0.1251 x1  6 O 1.98-2.01
Mn: 0.6735 0.6746 0.9751 x1  6 O 1.98-2.00
Mn: 0.7231 0.7247 0.8255 x1  6 O 1.97-1.99
Mn: 0.7731 0.7741 0.6755 x1  6 O 1.95-2.02
Mn: 0.8238 0.8234 0.5250 x1  6 O 1.93-2.00
Mn: 0.8717 0.8768 0.3746 x1  6 O 1.94-2.00
Mn: 0.9258 0.9224 0.2245 x1  6 O 1.92-1.99
Mn: 0.9728 0.9755 0.0750 x1  6 O 1.98-2.00
Cu: 0.4725 0.4748 0.5744 x1  6 O 2.05-2.07
Cu: 0.5241 0.5244 0.4244 x1  6 O 2.05-2.07
Cu: 0.5739 0.5745 0.2746 x1  6 O 2.03-2.08
O: 0.0067 0.8853 0.6490 x1  2 Mn 1.99-2.01
O: 0.0504 0.1482 0.2002 x1  2 Mn 1.97-1.98
O: 0.0518 0.6210 0.7058 x1  2 Mn 1.96-2.01
O: 0.0680 0.5004 0.3572 x1  2 Mn 2.00-2.01
O: 0.0787 0.5350 0.8458 x1  2 Mn 1.97
O: 0.0799 0.6428 0.1939 x1  2 Mn 1.97-2.01
O: 0.1180 0.9836 0.3506 x1  2 Mn 1.99-2.00
O: 0.1407 0.7294 0.4056 x1  1 Mn 1.95, 1 Cu 2.06
O: 0.1526 0.2434 0.8997 x1  2 Mn 1.97-1.98
O: 0.1631 0.6192 0.0542 x1  2 Mn 1.97-1.99
O: 0.1821 0.7396 0.8941 x1  2 Mn 1.98-2.00
O: 0.1875 0.6352 0.5420 x1  1 Mn 1.94, 1 Cu 2.05
O: 0.2081 0.0918 0.0497 x1  2 Mn 1.98-2.00
O: 0.2298 0.3554 0.6002 x1  1 Mn 1.94, 1 Cu 2.06
O: 0.2592 0.8179 0.1056 x1  2 Mn 1.99
O: 0.2629 0.7209 0.7539 x1  2 Mn 1.97-1.98
O: 0.2668 0.7476 0.2451 x1  1 Mn 1.92, 1 Cu 2.03
O: 0.2738 0.8495 0.5947 x1  1 Mn 1.96, 1 Cu 2.06
O: 0.3054 0.1928 0.7494 x1  2 Mn 1.98-2.00
O: 0.3324 0.4600 0.3024 x1  1 Mn 1.92, 1 Cu 2.08
O: 0.3613 0.9154 0.8059 x1  2 Mn 1.98-2.01
O: 0.3616 0.8121 0.4573 x1  1 Mn 1.94, 1 Cu 2.07
O: 0.3700 0.9549 0.2948 x1  1 Mn 1.92, 1 Cu 2.08
O: 0.3773 0.8378 0.9460 x1  2 Mn 1.98
O: 0.4108 0.2793 0.4512 x1  1 Mn 1.94, 1 Cu 2.07
O: 0.4493 0.0192 0.5073 x1  2 Mn 2.00-2.01
O: 0.4549 0.5456 0.0003 x1  2 Mn 1.98
O: 0.4582 0.9184 0.1550 x1  2 Mn 1.96-1.99
O: 0.4808 0.0418 0.9943 x1  2 Mn 1.99-2.00
O: 0.4900 0.9316 0.6437 x1  2 Mn 2.00-2.02
O: 0.5062 0.3896 0.1506 x1  2 Mn 1.97-2.01
O: 0.5485 0.6463 0.6987 x1  2 Mn 1.95-1.99
O: 0.5565 0.1179 0.2059 x1  2 Mn 1.99-2.00
O: 0.5602 0.0181 0.8547 x1  2 Mn 1.97-1.98
O: 0.5800 0.1408 0.6934 x1  2 Mn 1.97-2.01
O: 0.6000 0.0247 0.3429 x1  2 Mn 1.98-2.01
O: 0.6063 0.4903 0.8504 x1  2 Mn 1.99
O: 0.6345 0.7740 0.3986 x1  1 Mn 1.94, 1 Cu 2.06
O: 0.6547 0.2180 0.9058 x1  2 Mn 1.98-2.00
O: 0.6796 0.1390 0.0454 x1  2 Mn 1.97-1.98
O: 0.6817 0.0899 0.5558 x1  1 Mn 1.93, 1 Cu 2.06
O: 0.6871 0.2387 0.3920 x1  1 Mn 1.94, 1 Cu 2.05
O: 0.7207 0.5844 0.5483 x1  1 Mn 1.93, 1 Cu 2.06
O: 0.7571 0.8421 0.1002 x1  2 Mn 1.98
O: 0.7617 0.3091 0.6069 x1  1 Mn 1.94, 1 Cu 2.07
O: 0.7697 0.2014 0.2546 x1  1 Mn 1.95, 1 Cu 2.04
O: 0.7773 0.2399 0.7455 x1  2 Mn 1.98-1.99
O: 0.7809 0.3382 0.0943 x1  2 Mn 1.98-2.00
O: 0.8179 0.6949 0.2501 x1  1 Mn 1.95, 1 Cu 2.04
O: 0.8558 0.9393 0.8000 x1  2 Mn 1.98-1.99
O: 0.8600 0.3210 0.9542 x1  2 Mn 1.98
O: 0.8653 0.4096 0.3074 x1  1 Mn 1.92, 1 Cu 2.08
O: 0.8789 0.4397 0.7947 x1  2 Mn 1.99-2.00
O: 0.9013 0.3220 0.4444 x1  1 Mn 1.95, 1 Cu 2.06
O: 0.9052 0.7918 0.9501 x1  2 Mn 1.98-1.99
O: 0.9297 0.0669 0.5001 x1  2 Mn 2.00
O: 0.9585 0.5156 0.0059 x1  2 Mn 1.99
O: 0.9625 0.4164 0.6547 x1  2 Mn 1.97-1.99
O: 0.9742 0.5507 0.4929 x1  2 Mn 2.00-2.01
O: 0.9808 0.4329 0.1458 x1  2 Mn 1.96-1.99

=====

(3)
Mo12PH24C6N3O40: optimized geometry, GGA+U.

Summary:
Calculated density in Mg/m³: 3.1
E in eV/atom: -6.345
Total energy after the MP2020 corrections in eV/atom: -7.11
Energy relative to the elements in kJ/mol of atoms: -130.43

Cell: 16.7808 16.7808 25.5547 Å, 90.00 90.00 120.00°
Closest atoms and distances in Å follow each position.
Space group R-3 (No. 148, hexagonal axes)
Unique sites:
Mo: 0.0054 0.2183 0.2371 x18  1 O 1.72
Mo: 0.0054 0.7870 0.2371 x18  1 O 1.72
Mo: 0.0689 0.1379 0.8831 x18  1 O 1.71
Mo: 0.0745 0.1489 0.3470 x18  1 O 1.72
P: 0.0000 0.0000 0.2345 x6  4 O 1.55
H: 0.0191 0.4552 0.3036 x18  1 C 1.10
H: 0.0196 0.5626 0.3040 x18  1 C 1.10
H: 0.0486 0.4747 0.7825 x18  1 N 1.04
H: 0.0486 0.5735 0.7830 x18  1 N 1.04
H: 0.0537 0.2172 0.5531 x18  1 C 1.10
H: 0.0552 0.8402 0.5565 x18  1 C 1.10
H: 0.0753 0.5410 0.1653 x18  1 C 1.10
H: 0.0879 0.5442 0.6979 x18  1 C 1.10
C: 0.0158 0.5084 0.7104 x18  3 H 1.10
C: 0.0814 0.5409 0.2081 x18  3 H 1.10
N: 0.0134 0.5066 0.7690 x18  2 H 1.04
O: 0.0000 0.0000 0.1740 x6  1 P 1.55
O: 0.0095 0.3214 0.7697 x18  1 Mo 1.72
O: 0.0091 0.6879 0.7699 x18  1 Mo 1.72
O: 0.0129 0.1834 0.8340 x18  2 Mo 1.94-1.95
O: 0.0127 0.8294 0.8341 x18  2 Mo 1.94-1.95
O: 0.0317 0.2228 0.3112 x18  2 Mo 1.94-1.95
O: 0.0316 0.8087 0.3112 x18  2 Mo 1.94-1.95
O: 0.0502 0.1005 0.2547 x18  1 P 1.55
O: 0.0520 0.1040 0.6459 x18  2 Mo 1.93
O: 0.0533 0.1067 0.0897 x18  2 Mo 1.95
O: 0.0594 0.5298 0.8920 x18  2 Mo 1.94
O: 0.0978 0.1957 0.4086 x18  1 Mo 1.72
O: 0.0985 0.5493 0.4171 x18  2 Mo 1.93
O: 0.1100 0.2205 0.9307 x18  1 Mo 1.71

=====

(4)
Li3Co3SbO8: optimized geometry, GGA+U.

Summary:
Calculated density in Mg/m³: 4.7
E in eV/atom: -5.749
Total energy after the MP2020 corrections in eV/atom: -6.44
Energy relative to the elements in kJ/mol of atoms: -166.50
Distance to the lowest polymorph of the same formula in meV per atom: 4

Cell: 6.0885 6.1079 8.4473 Å, 90.69 90.86 91.29°
Closest atoms and distances in Å follow each position.
Space group P-1 (No. 2)
Unique sites:
Li: 0.0000 0.0000 0.0000 x1  6 O 2.15-2.23
Li: 0.0000 0.5000 0.0000 x1  6 O 2.10-2.31
Li: 0.2487 0.2491 0.2465 x2  6 O 2.14-2.33
Li: 0.5000 0.0000 0.5000 x1  6 O 2.13-2.28
Li: 0.5000 0.5000 0.5000 x1  6 O 2.11-2.30
Co: 0.0000 0.0000 0.5000 x1  6 O 1.97-2.11
Co: 0.0000 0.5000 0.5000 x1  6 O 2.14-2.17
Co: 0.2441 0.2576 0.7571 x2  4 O 1.88-2.10
Co: 0.5000 0.0000 0.0000 x1  6 O 1.94-2.14
Co: 0.5000 0.5000 0.0000 x1  6 O 2.12-2.15
Sb: 0.2506 0.7525 0.7508 x2  6 O 1.99-2.02
O: 0.0194 0.9827 0.7457 x2  1 Sb 2.01, 2 Co 2.08-2.14, 2 Li 2.14-2.15
O: 0.0208 0.5139 0.7526 x2  1 Sb 2.00, 2 Co 2.10-2.14, 2 Li 2.10-2.21
O: 0.2281 0.2337 0.5210 x2  3 Co 1.97-2.17
O: 0.2433 0.7597 0.5155 x2  1 Sb 1.99, 2 Co 2.11-2.15, 1 Li 2.13
O: 0.2573 0.2470 0.9792 x2  1 Co 1.88
O: 0.2748 0.7655 0.9885 x2  2 Co 1.96-2.15, 1 Sb 2.01
O: 0.4747 0.5167 0.7488 x2  1 Sb 2.01, 2 Co 2.09-2.13, 2 Li 2.11-2.18
O: 0.4856 0.9912 0.7698 x2  1 Co 1.94, 1 Sb 2.02

=====

Which of these has the lowest calculated density?
Mo12PH24C6N3O40